LiBi2I2O2 | GGA-PBE | relaxed

Geometry as extended XYZ:
```
7
Lattice="4.1894 0.0000 0.0000 0.0000 4.1894 0.0000 0.0000 0.0000 10.1708" Properties=species:S:1:pos:R:3 pbc="T T T"
Li 0.0000 0.0000 0.0000
Bi 0.0000 0.0000 3.3029
Bi 2.0947 2.0947 5.5230
I 0.0000 0.0000 7.4255
I 2.0947 2.0947 0.8333
O 0.0000 2.0947 4.3481
O 2.0947 0.0000 4.3481
```

Output
total magnetic moment	0.000	μB per atom
excess energy over the best structure of this formula in the dataset	17	meV per atom
DFT formation energy	-107	kJ per mole of atoms